Entry 1:
Sm2CuAs3O: optimized geometry, GGA-PBE.

The structure in extended XYZ format:
```
28
Lattice="3.991 0.000 0.000 0.000 4.000 0.000 0.000 0.000 34.823" Properties=species:S:1:pos:R:3 pbc="T T T"
Sm 0.998 1.005 18.564
Sm 0.998 1.232 28.700
As 0.998 2.995 3.688
As 2.994 2.763 10.256
As 2.994 1.005 31.135
Sm 2.994 2.995 16.258
Cu 0.998 2.766 8.707
As 0.998 1.236 24.567
As 2.994 3.236 27.667
As 0.998 3.324 31.096
O 0.998 2.994 34.818
Sm 2.994 2.768 6.123
Cu 2.994 0.766 8.704
O 2.994 0.995 17.416
Cu 0.998 3.233 26.118
Sm 0.998 0.995 1.153
Cu 2.994 1.233 26.116
As 0.998 3.005 21.099
As 0.998 0.764 7.155
As 2.994 1.324 21.138
O 2.994 1.005 0.005
Sm 2.994 3.232 23.534
As 0.998 2.676 13.685
As 2.994 0.995 13.723
O 0.998 3.005 17.407
As 2.994 0.676 3.727
Sm 2.994 3.005 33.669
Sm 0.998 0.768 11.289
```

- Total energy: -6.10 eV/atom
- Total energy after the MP2020 corrections: -6.19 eV/atom
- Calculated volume: 19.9 A^3/atom

=====

Entry 2:
TlCuAsO4: optimized geometry, GGA-PBE.

The structure in extended XYZ format:
```
28
Lattice="3.637 3.545 0.000 -3.637 3.545 0.000 0.000 1.295 18.487" Properties=species:S:1:pos:R:3 pbc="T T T"
O -1.217 2.530 5.293
O 1.171 5.208 10.409
Cu 0.603 2.088 4.632
O 0.246 2.991 2.976
Cu 0.603 5.649 4.611
Tl 2.151 3.599 1.135
O 2.673 3.638 12.195
As 1.217 4.548 11.968
O 1.217 5.854 13.194
O -1.171 4.560 1.165
O 1.217 3.178 14.536
O -2.673 2.990 2.952
O -1.171 3.177 8.078
O 1.171 3.824 17.321
O -0.246 5.394 15.511
O -2.673 4.747 6.291
O 0.246 4.746 6.267
Cu -0.603 2.736 13.875
O -0.246 3.638 12.219
Tl -2.151 4.786 17.352
As -1.217 3.837 6.518
O 2.673 5.395 15.535
As -1.217 3.900 2.725
Tl 2.151 4.139 8.108
Cu -0.603 6.297 13.855
O -1.217 5.207 3.950
Tl -2.151 4.246 10.378
As 1.217 4.485 15.762
```

- Total energy: -5.41 eV/atom
- Total energy after the MP2020 corrections: -5.81 eV/atom
- Calculated volume: 17.0 A^3/atom

=====

Entry 3:
U2Cu2As3O: optimized geometry, GGA-PBE.

The structure in extended XYZ format:
```
16
Lattice="3.909 0.000 0.000 0.000 3.909 0.000 0.000 0.000 17.983" Properties=species:S:1:pos:R:3 pbc="T T T"
U 0.000 1.954 6.730
As 0.000 0.000 8.991
As 1.954 0.000 15.311
Cu 0.000 0.000 13.828
As 1.954 0.000 5.808
Cu 1.954 1.954 4.155
U 0.000 1.954 16.720
O 0.000 0.000 0.000
As 1.954 1.954 8.991
U 1.954 0.000 11.253
O 1.954 1.954 0.000
Cu 1.954 1.954 13.828
Cu 0.000 0.000 4.155
As 0.000 1.954 12.174
U 1.954 0.000 1.263
As 0.000 1.954 2.672
```

- Total energy: -7.18 eV/atom
- Total energy after the MP2020 corrections: -7.27 eV/atom
- Calculated volume: 17.2 A^3/atom

=====

Entry 4:
Zn3Cu2As4O16: optimized geometry, GGA-PBE.

The structure in extended XYZ format:
```
25
Lattice="5.445 0.000 0.000 2.556 6.494 0.000 1.621 1.111 9.276" Properties=species:S:1:pos:R:3 pbc="T T T"
As 5.032 1.818 0.601
O 5.952 6.755 8.842
Zn 3.765 5.975 5.721
O 4.347 1.700 6.269
As 3.156 2.385 5.337
O 7.885 6.185 4.212
O 0.755 1.233 1.706
Cu 6.553 4.083 6.988
O 4.570 3.427 1.272
O 5.042 4.139 8.007
O 5.618 4.929 5.530
O 2.625 3.988 5.881
Zn 5.827 1.665 3.581
O 7.488 3.317 8.379
As 6.494 5.183 4.013
Zn 5.674 5.505 0.976
Cu 3.039 3.502 2.302
O 3.677 0.837 0.477
O 1.748 1.407 5.053
O 3.969 2.691 3.752
As 4.625 5.726 8.657
O 5.370 5.850 2.940
O 6.954 3.607 3.375
O 8.905 6.382 7.600
O 2.086 4.359 0.890
```

- Total energy: -5.44 eV/atom
- Total energy after the MP2020 corrections: -5.88 eV/atom
- Calculated volume: 13.1 A^3/atom

=====

Entry 5:
ZnCuAsO5: optimized geometry, GGA-PBE.

The structure in extended XYZ format:
```
32
Lattice="-3.250 -1.258 -4.654 -5.875 -3.839 5.141 -4.281 7.750 0.894" Properties=species:S:1:pos:R:3 pbc="T T T"
O -8.401 -2.215 1.095
Zn -9.254 3.785 1.808
As -6.987 -1.447 1.639
Zn -3.483 4.146 1.312
O -7.817 4.706 0.555
As -7.772 2.881 4.649
O -3.840 0.337 0.851
O -1.033 0.072 0.702
O -10.821 3.217 3.056
O -7.935 1.254 5.203
O -7.129 0.301 1.266
O -6.562 4.265 -1.941
O -5.590 -2.054 0.827
O -2.221 2.656 0.833
Cu -2.425 -0.939 -3.472
Cu -0.825 -0.320 -1.182
O -6.844 -1.612 3.324
As -6.420 4.100 -0.257
O -9.566 2.315 0.531
As -2.384 1.030 1.387
Zn -4.152 -1.132 -0.426
O -7.873 2.971 2.956
Cu -5.878 1.646 1.873
O -5.534 -0.318 -1.573
Cu -7.529 1.007 -0.491
O -9.124 3.839 5.334
O -2.585 -0.564 -1.674
O -4.680 2.907 2.482
O -6.277 2.352 0.116
Zn -6.673 -0.235 4.724
O -5.476 1.003 3.553
O -5.005 4.867 0.287
```

- Total energy: -5.37 eV/atom
- Total energy after the MP2020 corrections: -5.80 eV/atom
- Calculated volume: 14.1 A^3/atom
- E above lowest polymorph: 0 meV per atom

=====

Question: What is the formula in the second record?
Answer: TlCuAsO4

=====

Question: Among the records above, which one has the lowest total energy?
Answer: U2Cu2As3O